1.
Cu3Mo2O9: relaxed, PBE with a Hubbard U.

a = 7.4304 Å, b = 7.7960 Å, c = 8.0817 Å
α = 66.35°, β = 88.96°, γ = 66.17°
Fractional positions:
O 0.5638 0.8030 0.4931
O 0.8878 0.9611 0.2033
Cu 0.7079 0.6103 0.7356
O 0.3084 0.6689 0.3444
O 0.3834 0.2516 0.8414
Cu 0.1282 0.2932 0.9113
Cu 0.9192 0.3524 0.5274
Cu 0.2921 0.3897 0.2644
O 0.2532 0.1036 0.1678
Mo 0.7942 0.2168 0.1851
Mo 0.5654 0.1661 0.7090
O 0.1346 0.6101 0.0185
O 0.6166 0.7484 0.1586
Cu 0.8718 0.7068 0.0887
O 0.0306 0.5098 0.3347
Mo 0.2058 0.7832 0.8149
O 0.1175 0.7898 0.6074
O 0.8825 0.2102 0.3926
O 0.1122 0.0389 0.7967
O 0.4362 0.1970 0.5069
O 0.7468 0.8964 0.8322
Cu 0.0808 0.6476 0.4726
O 0.4698 0.6864 0.8402
Mo 0.4346 0.8339 0.2910
O 0.5302 0.3136 0.1598
O 0.6916 0.3311 0.6556
O 0.9694 0.4902 0.6653
O 0.8654 0.3899 0.9815

As for the magnetization: 0.07 μB/atom. Its space-group type is P-1, No. 2.

---

2.
Cu3Mo4O12: relaxed, PBE with a Hubbard U.

a = 6.5747 Å, b = 6.5747 Å, c = 6.5747 Å
α = 109.50°, β = 109.50°, γ = 109.50°
Fractional positions:
O 0.6914 0.5076 0.8222
Cu 0.0000 0.5000 0.5000
O 0.1325 0.8141 0.3077
O 0.1859 0.6923 0.8675
O 0.6923 0.8675 0.1859
Cu 0.5000 0.0000 0.5000
Mo 0.5000 0.5000 0.5000
O 0.3086 0.4924 0.1778
Mo 0.5000 0.0000 0.0000
O 0.1778 0.3086 0.4924
O 0.8675 0.1859 0.6923
Mo 0.0000 0.5000 0.0000
O 0.5076 0.8222 0.6914
O 0.8222 0.6914 0.5076
O 0.8141 0.3077 0.1325
O 0.3077 0.1325 0.8141
Mo 0.0000 0.0000 0.5000
O 0.4924 0.1778 0.3086
Cu 0.5000 0.5000 0.0000

Its space-group type is R-3, No. 148.

---

The following distance to the lowest polymorph of the same formula values (in meV per atom) correspond, in order, to the records above: 3, 15.
The following energy of formation from the pure elements values (in eV/f.u.) correspond, in order, to the records above: -20.643, -31.043.
The following E (MP2020) values (in eV/atom) correspond, in order, to the records above: -7.0831, -7.6894.